[1]
First-principles (PBE-GGA) data for Gd3I after structural relaxation, as listed in the Materials Project database.

Output
VASP energy (Ha/atom): -0.40555
V (A^3/atom): 30.68
DFT formation energy (eV/f.u.): -0.77

a b c (Å): 4.9693 4.9693 4.9693
angles (deg): 90.00 90.00 90.00
Element x y z (fractional)
I 0.0000 0.0000 0.0000
Gd 0.5000 0.0000 0.5000
Gd 0.0000 0.5000 0.5000
Gd 0.5000 0.5000 0.0000


[2]
First-principles (PBE-GGA) data for Hf3Ni after structural relaxation, as listed in the Materials Project database.

Output
Magnetization (μB/atom): 0.0003
VASP energy (Ha/atom): -0.32611
V (A^3/atom): 18.98
DFT formation energy (eV/f.u.): 0.16

a b c (Å): 5.9240 5.9240 4.9949
angles (deg): 90.00 90.00 120.00
Element x y z (fractional)
Hf 0.1718 0.8282 0.2500
Hf 0.1718 0.3437 0.2500
Hf 0.3437 0.1718 0.7500
Hf 0.6563 0.8282 0.2500
Hf 0.8282 0.1718 0.7500
Hf 0.8282 0.6563 0.7500
Ni 0.3333 0.6667 0.7500
Ni 0.6667 0.3333 0.2500